(1)
A plane-wave DFT calculation with r2SCAN was carried out for a relaxed V3Ru crystal.

Results
- Energy: -275.84 eV per cell
- Energy of formation: -317 meV per atom

Geometry as CIF:
```
data_V3Ru
_chemical_formula_sum 'V12 Ru4'
_cell_length_a 5.953
_cell_length_b 5.953
_cell_length_c 5.953
_cell_angle_alpha 90.00
_cell_angle_beta 90.00
_cell_angle_gamma 90.00
_space_group_name_H-M_alt 'P 1'
_space_group_IT_number 1
loop_
_space_group_symop_operation_xyz
'x,y,z'
loop_
_atom_site_label
_atom_site_type_symbol
_atom_site_fract_x
_atom_site_fract_y
_atom_site_fract_z
_atom_site_occupancy
V1 V 0.000 0.000 0.000 1
V2 V 0.000 0.500 0.500 1
V3 V 0.250 0.250 0.250 1
V4 V 0.250 0.250 0.750 1
V5 V 0.250 0.750 0.250 1
V6 V 0.250 0.750 0.750 1
V7 V 0.500 0.000 0.500 1
V8 V 0.500 0.500 0.000 1
V9 V 0.750 0.250 0.250 1
V10 V 0.750 0.250 0.750 1
V11 V 0.750 0.750 0.250 1
V12 V 0.750 0.750 0.750 1
Ru1 Ru 0.000 0.000 0.500 1
Ru2 Ru 0.000 0.500 0.000 1
Ru3 Ru 0.500 0.000 0.000 1
Ru4 Ru 0.500 0.500 0.500 1
```

***

(2)
A plane-wave DFT calculation with r2SCAN was carried out for a relaxed Ru3W crystal.

Results
- Energy: -255.63 eV per cell
- Energy of formation: -44 meV per atom

Geometry as CIF:
```
data_Ru3W
_chemical_formula_sum 'Ru6 W2'
_cell_length_a 5.471
_cell_length_b 5.471
_cell_length_c 4.354
_cell_angle_alpha 90.00
_cell_angle_beta 90.00
_cell_angle_gamma 120.00
_space_group_name_H-M_alt 'P 1'
_space_group_IT_number 1
loop_
_space_group_symop_operation_xyz
'x,y,z'
loop_
_atom_site_label
_atom_site_type_symbol
_atom_site_fract_x
_atom_site_fract_y
_atom_site_fract_z
_atom_site_occupancy
Ru1 Ru 0.166 0.333 0.250 1
Ru2 Ru 0.166 0.834 0.250 1
Ru3 Ru 0.333 0.166 0.750 1
Ru4 Ru 0.667 0.834 0.250 1
Ru5 Ru 0.834 0.166 0.750 1
Ru6 Ru 0.834 0.667 0.750 1
W1 W 0.333 0.667 0.750 1
W2 W 0.667 0.333 0.250 1
```

***

(3)
A plane-wave DFT calculation with r2SCAN was carried out for a relaxed YZrRu2 crystal.

Results
- Energy: -383.97 eV per cell
- Energy of formation: -520 meV per atom

Geometry as CIF:
```
data_YZrRu2
_chemical_formula_sum 'Y4 Zr4 Ru8'
_cell_length_a 6.643
_cell_length_b 6.643
_cell_length_c 6.643
_cell_angle_alpha 90.00
_cell_angle_beta 90.00
_cell_angle_gamma 90.00
_space_group_name_H-M_alt 'P 1'
_space_group_IT_number 1
loop_
_space_group_symop_operation_xyz
'x,y,z'
loop_
_atom_site_label
_atom_site_type_symbol
_atom_site_fract_x
_atom_site_fract_y
_atom_site_fract_z
_atom_site_occupancy
Y1 Y 0.000 0.000 0.000 1
Y2 Y 0.000 0.500 0.500 1
Y3 Y 0.500 0.000 0.500 1
Y4 Y 0.500 0.500 0.000 1
Zr1 Zr 0.000 0.000 0.500 1
Zr2 Zr 0.000 0.500 0.000 1
Zr3 Zr 0.500 0.000 0.000 1
Zr4 Zr 0.500 0.500 0.500 1
Ru1 Ru 0.250 0.250 0.250 1
Ru2 Ru 0.250 0.250 0.750 1
Ru3 Ru 0.250 0.750 0.250 1
Ru4 Ru 0.250 0.750 0.750 1
Ru5 Ru 0.750 0.250 0.250 1
Ru6 Ru 0.750 0.250 0.750 1
Ru7 Ru 0.750 0.750 0.250 1
Ru8 Ru 0.750 0.750 0.750 1
```

***

(4)
A plane-wave DFT calculation with r2SCAN was carried out for a relaxed Yb2Ru crystal.

Results
- Energy: -99.65 eV per cell
- Energy of formation: -389 meV per atom

Geometry as CIF:
```
data_Yb2Ru
_chemical_formula_sum 'Yb2 Ru1'
_cell_length_a 3.295
_cell_length_b 3.295
_cell_length_c 6.857
_cell_angle_alpha 90.00
_cell_angle_beta 90.00
_cell_angle_gamma 90.00
_space_group_name_H-M_alt 'P 1'
_space_group_IT_number 1
loop_
_space_group_symop_operation_xyz
'x,y,z'
loop_
_atom_site_label
_atom_site_type_symbol
_atom_site_fract_x
_atom_site_fract_y
_atom_site_fract_z
_atom_site_occupancy
Yb1 Yb 0.000 0.000 0.234 1
Yb2 Yb 0.000 0.000 0.766 1
Ru1 Ru 0.500 0.500 0.000 1
```

***

What did the first record say?
A plane-wave DFT calculation with r2SCAN was carried out for a relaxed V3Ru crystal.

Results
- Energy: -275.84 eV per cell
- Energy of formation: -317 meV per atom

Geometry as CIF:
```
data_V3Ru
_chemical_formula_sum 'V12 Ru4'
_cell_length_a 5.953
_cell_length_b 5.953
_cell_length_c 5.953
_cell_angle_alpha 90.00
_cell_angle_beta 90.00
_cell_angle_gamma 90.00
_space_group_name_H-M_alt 'P 1'
_space_group_IT_number 1
loop_
_space_group_symop_operation_xyz
'x,y,z'
loop_
_atom_site_label
_atom_site_type_symbol
_atom_site_fract_x
_atom_site_fract_y
_atom_site_fract_z
_atom_site_occupancy
V1 V 0.000 0.000 0.000 1
V2 V 0.000 0.500 0.500 1
V3 V 0.250 0.250 0.250 1
V4 V 0.250 0.250 0.750 1
V5 V 0.250 0.750 0.250 1
V6 V 0.250 0.750 0.750 1
V7 V 0.500 0.000 0.500 1
V8 V 0.500 0.500 0.000 1
V9 V 0.750 0.250 0.250 1
V10 V 0.750 0.250 0.750 1
V11 V 0.750 0.750 0.250 1
V12 V 0.750 0.750 0.750 1
Ru1 Ru 0.000 0.000 0.500 1
Ru2 Ru 0.000 0.500 0.000 1
Ru3 Ru 0.500 0.000 0.000 1
Ru4 Ru 0.500 0.500 0.500 1
```